Record 1
Below is a relaxed HfAu crystal, with properties calculated at the meta-GGA r2SCAN level.

Calculated values
Calculated formation energy, eV per atom: -0.61

abc: 3.4839 3.4839 6.3205
angles: 90.00 90.00 90.00
Atoms (fractional coordinates):
Hf  0.2500  0.2500  0.1484
Hf  0.7500  0.7500  0.8516
Au  0.2500  0.2500  0.6286
Au  0.7500  0.7500  0.3714



Record 2
Below is a relaxed HgAu4 crystal, with properties calculated at the meta-GGA r2SCAN level.

Calculated values
Calculated formation energy, eV per atom: 0.05

abc: 11.9563 11.9563 11.9563
angles: 14.45 14.45 14.45
Atoms (fractional coordinates):
Hg  0.0000  0.0000  0.0000
Au  0.1987  0.1987  0.1987
Au  0.4032  0.4032  0.4032
Au  0.5968  0.5968  0.5968
Au  0.8013  0.8013  0.8013